YO2 | PBE | optimized geometry

Computed properties:
SG: P2_1/m
Total energy after the MP2020 corrections: -8.581 eV per atom

Lattice parameters (Å, degrees): 3.6665 4.2254 6.2209 107.33 90.00 90.00
Positions (direct):
Y  0.2500  0.1714  0.8146
Y  0.7500  0.8286  0.1854
O  0.7500  0.1814  0.5528
O  0.2500  0.7335  0.9539
O  0.7500  0.2665  0.0461
O  0.2500  0.8186  0.4472

---

YO2 | PBE | optimized geometry

Computed properties:
SG: C2/c
Spin magnetization: 1.0 μB/f.u.
Total energy after the MP2020 corrections: -8.446 eV per atom

Lattice parameters (Å, degrees): 4.3508 4.3508 6.5747 109.14 109.14 90.28
Positions (direct):
Y  0.1226  0.8774  0.7500
O  0.9456  0.6709  0.3477
O  0.3291  0.0544  0.1523
Y  0.8774  0.1226  0.2500
O  0.0544  0.3291  0.6523
O  0.6709  0.9456  0.8477

---

YO2 | PBE | optimized geometry

Computed properties:
SG: C2/c
Spin magnetization: 1.0 μB/f.u.
Total energy after the MP2020 corrections: -8.482 eV per atom

Lattice parameters (Å, degrees): 4.2848 4.2848 6.1102 78.25 78.25 101.02
Positions (direct):
Y  0.8617  0.1383  0.2500
O  0.0067  0.3084  0.8476
O  0.9933  0.6916  0.1524
Y  0.1383  0.8617  0.7500
O  0.6916  0.9933  0.6524
O  0.3084  0.0067  0.3476

---

Question: Among the records above, which one has the lowest total energy after the MP2020 corrections?
Answer: number 1